Material: ZrBiO4
Method: DFT, PBE-GGA
State: optimized geometry

Cell lengths 5.3262, 5.3262, 10.8354 Å; angles 90.00, 90.00, 90.00 degrees
Closest atoms and distances in Å follow each position.
Space group I4_1/a (No. 88, origin choice 2)
One atom of each set of equivalent atoms:
Zr  0.0000  0.2500  0.1250 (multiplicity 4)  4 O 2.10
Bi  0.0000  0.2500  0.6250 (multiplicity 4)  8 O 2.29-2.44
O  0.2326  0.0116  0.2293 (multiplicity 16)  1 Zr 2.10, 1 Bi 2.29



Material: Zr2Bi2O7
Method: DFT, PBE-GGA
State: optimized geometry

Cell lengths 10.8264, 10.8264, 10.8264 Å; angles 90.00, 90.00, 90.00 degrees
Closest atoms and distances in Å follow each position.
Space group Fd-3m (No. 227, origin choice 2)
One atom of each set of equivalent atoms:
Zr  0.0000  0.0000  0.0000 (multiplicity 16)  6 O 2.12
Bi  0.0000  0.0000  0.5000 (multiplicity 16)  8 O 2.34-2.62
O  0.0844  0.3750  0.3750 (multiplicity 48)  2 Zr 2.12
O  0.1250  0.1250  0.6250 (multiplicity 8)  4 Bi 2.34



Number 1: V 12.808 Å³/atom, theoretical density 7.87 g cm⁻³, total energy after the MP2020 corrections -0.2914 hartree per atom. Number 2: V 14.420 Å³/atom, theoretical density 7.46 g cm⁻³, total energy after the MP2020 corrections -0.3006 hartree per atom.